No. 1
Ga3P6O31: relaxed, PBE.

Cell: 8.7055 15.0958 17.2881 Å, 90.00 90.10 90.00°
Space group Cc (No. 9)
One atom of each set of equivalent atoms:
Ga: 0.0000 0.0011 0.0000 x4
Ga: 0.0017 0.3332 0.1329 x4
Ga: 0.0024 0.3334 0.8594 x4
P: 0.2590 0.2840 0.7327 x4
P: 0.2688 0.3404 0.9972 x4
P: 0.2994 0.2702 0.2325 x4
P: 0.3577 0.0368 0.4968 x4
P: 0.3777 0.3025 0.4967 x4
P: 0.4480 0.0135 0.2326 x4
O: 0.0014 0.3324 0.4537 x4
O: 0.0248 0.1184 0.3614 x4
O: 0.0420 0.4387 0.7948 x4
O: 0.0434 0.4358 0.2012 x4
O: 0.0465 0.0502 0.6617 x4
O: 0.0548 0.0447 0.1475 x4
O: 0.1349 0.2614 0.2013 x4
O: 0.1406 0.2609 0.7950 x4
O: 0.1660 0.0720 0.8620 x4
O: 0.1823 0.3677 0.0705 x4
O: 0.1833 0.3658 0.9228 x4
O: 0.1849 0.3341 0.6631 x4
O: 0.2038 0.0181 0.9958 x4
O: 0.2108 0.2667 0.4960 x4
O: 0.2871 0.0179 0.7609 x4
O: 0.2992 0.2389 0.9966 x4
O: 0.3157 0.4532 0.3611 x4
O: 0.3245 0.1996 0.2949 x4
O: 0.3277 0.1975 0.7013 x4
O: 0.3322 0.3667 0.2606 x4
O: 0.3600 0.0934 0.5702 x4
O: 0.3636 0.0921 0.4224 x4
O: 0.3703 0.4070 0.4956 x4
O: 0.3869 0.3488 0.7611 x4
O: 0.4056 0.4993 0.1478 x4
O: 0.4087 0.0755 0.1631 x4
O: 0.4116 0.2585 0.1631 x4
O: 0.4285 0.3897 0.9969 x4
O: 0.4601 0.2727 0.4227 x4
O: 0.4625 0.2743 0.5702 x4
O: 0.4943 0.0296 0.9964 x4

Formation energy from the elements in eV per atom: -0.873

---

No. 2
Rb4Ga8P10O41: relaxed, PBE.

Cell: 5.1596 8.3019 21.9246 Å, 90.01 90.00 91.75°
Space group P1 (No. 1)
One atom of each set of equivalent atoms:
Rb: 0.0000 0.0000 0.0000 x1
Rb: 0.0083 0.8532 0.4991 x1
Rb: 0.0221 0.5906 0.7234 x1
Rb: 0.9802 0.2648 0.2234 x1
Ga: 0.0335 0.0894 0.8005 x1
Ga: 0.0439 0.4073 0.5449 x1
Ga: 0.4604 0.9720 0.6375 x1
Ga: 0.4792 0.2635 0.3805 x1
Ga: 0.5237 0.5923 0.8803 x1
Ga: 0.5421 0.8841 0.1376 x1
Ga: 0.9582 0.4483 0.0448 x1
Ga: 0.9690 0.7662 0.3004 x1
P: 0.0043 0.4753 0.3945 x1
P: 0.0289 0.6790 0.1632 x1
P: 0.4583 0.6875 0.0139 x1
P: 0.4658 0.2590 0.0996 x1
P: 0.4968 0.8830 0.7869 x1
P: 0.5062 0.9726 0.2869 x1
P: 0.5363 0.5970 0.5995 x1
P: 0.5439 0.1680 0.5140 x1
P: 0.9735 0.1767 0.6632 x1
P: 0.9981 0.3807 0.8943 x1
O: 0.0310 0.3359 0.6305 x1
O: 0.0662 0.2092 0.7305 x1
O: 0.0697 0.6417 0.3645 x1
O: 0.0854 0.4916 0.4605 x1
O: 0.1099 0.0295 0.6350 x1
O: 0.1563 0.3414 0.3603 x1
O: 0.1688 0.6365 0.0159 x1
O: 0.2088 0.9379 0.2926 x1
O: 0.2567 0.3047 0.0536 x1
O: 0.2634 0.6037 0.5717 x1
O: 0.2921 0.4190 0.8840 x1
O: 0.3230 0.7195 0.1650 x1
O: 0.3467 0.0064 0.8262 x1
O: 0.3707 0.2966 0.5387 x1
O: 0.3790 0.0853 0.1228 x1
O: 0.3934 0.8834 0.7217 x1
O: 0.4418 0.7088 0.8112 x1
O: 0.4643 0.3512 0.1610 x1
O: 0.4696 0.1242 0.4457 x1
O: 0.5001 0.0040 0.5481 x1
O: 0.5023 0.8515 0.0482 x1
O: 0.5108 0.0985 0.9517 x1
O: 0.5325 0.7311 0.9457 x1
O: 0.5381 0.5045 0.6608 x1
O: 0.5606 0.1469 0.3113 x1
O: 0.6089 0.9723 0.2217 x1
O: 0.6236 0.7707 0.6227 x1
O: 0.6317 0.5593 0.0388 x1
O: 0.6565 0.8496 0.3263 x1
O: 0.6794 0.1363 0.6650 x1
O: 0.7105 0.4371 0.3839 x1
O: 0.7386 0.2525 0.0718 x1
O: 0.7454 0.5521 0.5532 x1
O: 0.7940 0.9176 0.7924 x1
O: 0.8336 0.2189 0.5158 x1
O: 0.8465 0.5150 0.8602 x1
O: 0.8924 0.8261 0.1351 x1
O: 0.9161 0.3654 0.9604 x1
O: 0.9321 0.2154 0.8639 x1
O: 0.9365 0.6461 0.2306 x1
O: 0.9714 0.5198 0.1305 x1

Formation energy from the elements in eV per atom: -2.472

---

No. 3
RbGa3P6O20: relaxed, PBE.

Cell: 10.1530 13.2762 12.2193 Å, 90.00 90.00 90.00°
Space group C222_1 (No. 20)
One atom of each set of equivalent atoms:
Rb: 0.0264 0.0000 0.0000 x4
Ga: 0.0000 0.2063 0.7500 x4
Ga: 0.0000 0.2563 0.2500 x4
Ga: 0.1355 0.5000 0.0000 x4
P: 0.0545 0.2956 0.5121 x8
P: 0.2306 0.3632 0.6830 x8
P: 0.2387 0.4357 0.2233 x8
O: 0.0141 0.2097 0.5880 x8
O: 0.0346 0.3883 0.9782 x8
O: 0.0800 0.2586 0.3974 x8
O: 0.1220 0.1460 0.1985 x8
O: 0.1293 0.3603 0.2094 x8
O: 0.1299 0.0988 0.7672 x8
O: 0.1418 0.3078 0.7603 x8
O: 0.1913 0.4809 0.6863 x8
O: 0.1986 0.3362 0.5574 x8
O: 0.2435 0.0059 0.6135 x8

Formation energy from the elements in eV per atom: -2.605